P | Here is Mn6O7F5 after structural relaxation from the Materials Project database. Energies are from GGA+U.

## Properties
Calculated volume ... 200.9 Å³/cell
Magnetic moment ... 23.000 Bohr magnetons per cell

a = 4.621 Å, b = 5.633 Å, c = 7.737 Å
α = 86.20°, β = 89.50°, γ = 88.62°
Space group P1 (No. 1)
Unique sites:
Mn  0.000  0.000  0.000 x1
Mn  0.005  0.647  0.293 x1
Mn  0.470  0.472  0.962 x1
Mn  0.487  0.154  0.315 x1
Mn  0.501  0.826  0.648 x1
Mn  0.986  0.319  0.641 x1
O  0.177  0.361  0.408 x1
O  0.203  0.701  0.073 x1
O  0.291  0.186  0.088 x1
O  0.311  0.533  0.735 x1
O  0.678  0.113  0.546 x1
O  0.804  0.282  0.879 x1
O  0.805  0.946  0.210 x1
F  0.197  0.016  0.768 x1
F  0.284  0.853  0.424 x1
F  0.678  0.456  0.192 x1
F  0.715  0.793  0.878 x1
F  0.789  0.631  0.520 x1

***

Q | Here is Mn6O7F5 after structural relaxation from the Materials Project database. Energies are from GGA+U.

## Properties
Calculated volume ... 204.4 Å³/cell
Magnetic moment ... 23.002 Bohr magnetons per cell

a = 4.763 Å, b = 5.643 Å, c = 7.710 Å
α = 84.55°, β = 85.30°, γ = 83.40°
Space group P1 (No. 1)
Unique sites:
Mn  0.000  0.000  0.000 x1
Mn  0.006  0.342  0.666 x1
Mn  0.496  0.173  0.329 x1
Mn  0.502  0.841  0.663 x1
Mn  0.538  0.529  0.008 x1
Mn  0.987  0.672  0.319 x1
O  0.308  0.141  0.565 x1
O  0.310  0.800  0.897 x1
O  0.314  0.479  0.227 x1
O  0.697  0.540  0.766 x1
O  0.697  0.880  0.431 x1
O  0.703  0.215  0.100 x1
O  0.814  0.720  0.099 x1
F  0.180  0.636  0.549 x1
F  0.189  0.290  0.900 x1
F  0.198  0.975  0.229 x1
F  0.809  0.374  0.437 x1
F  0.816  0.048  0.764 x1

***

R | Here is Mn6O7F5 after structural relaxation from the Materials Project database. Energies are from GGA+U.

## Properties
Calculated volume ... 202.9 Å³/cell
Magnetic moment ... 23.002 Bohr magnetons per cell

a = 4.729 Å, b = 5.592 Å, c = 7.729 Å
α = 84.66°, β = 87.09°, γ = 86.41°
Space group P1 (No. 1)
Unique sites:
Mn  0.000  0.000  0.000 x1
Mn  0.003  0.697  0.340 x1
Mn  0.031  0.358  0.666 x1
Mn  0.483  0.831  0.660 x1
Mn  0.524  0.174  0.337 x1
Mn  0.555  0.528  0.997 x1
O  0.207  0.640  0.557 x1
O  0.317  0.141  0.564 x1
O  0.327  0.807  0.898 x1
O  0.700  0.883  0.442 x1
O  0.713  0.218  0.104 x1
O  0.713  0.552  0.761 x1
O  0.835  0.724  0.116 x1
F  0.203  0.296  0.911 x1
F  0.220  0.981  0.238 x1
F  0.321  0.482  0.233 x1
F  0.819  0.061  0.756 x1
F  0.819  0.386  0.427 x1

***

S | Here is Mn6O7F5 after structural relaxation from the Materials Project database. Energies are from GGA+U.

## Properties
Calculated volume ... 201.7 Å³/cell
Magnetic moment ... 23.002 Bohr magnetons per cell

a = 4.693 Å, b = 5.641 Å, c = 7.670 Å
α = 85.30°, β = 87.79°, γ = 85.93°
Space group P1 (No. 1)
Unique sites:
Mn  0.000  0.000  0.000 x1
Mn  0.002  0.353  0.690 x1
Mn  0.039  0.679  0.365 x1
Mn  0.516  0.509  0.021 x1
Mn  0.524  0.834  0.686 x1
Mn  0.531  0.173  0.337 x1
O  0.205  0.624  0.588 x1
O  0.324  0.465  0.251 x1
O  0.331  0.810  0.916 x1
O  0.707  0.873  0.452 x1
O  0.712  0.548  0.793 x1
O  0.721  0.214  0.110 x1
O  0.831  0.060  0.778 x1
F  0.206  0.980  0.233 x1
F  0.219  0.314  0.905 x1
F  0.317  0.140  0.576 x1
F  0.818  0.366  0.462 x1
F  0.833  0.702  0.136 x1

***

How far above the most stable structure does each one sit? In meV/atom: P 30; Q 0; R 15; S 22.

***

P | Here is Mn6OF11 after structural relaxation from the Materials Project database. Energies are from GGA+U.

## Properties
Calculated volume ... 860.7 Å³/cell
Magnetic moment ... 116.003 Bohr magnetons per cell

a = 7.315 Å, b = 7.488 Å, c = 15.713 Å
α = 90.00°, β = 90.00°, γ = 90.00°
Space group Cmm2 (No. 35)
Unique sites:
Mn  0.000  0.000  0.000 x2
Mn  0.000  0.000  0.320 x2
Mn  0.000  0.000  0.656 x2
Mn  0.000  0.500  0.319 x2
Mn  0.000  0.500  0.655 x2
Mn  0.000  0.500  0.984 x2
Mn  0.250  0.250  0.149 x4
Mn  0.250  0.250  0.487 x4
Mn  0.250  0.250  0.823 x4
O  0.000  0.195  0.075 x4
F  0.000  0.237  0.403 x4
F  0.000  0.237  0.738 x4
F  0.000  0.262  0.571 x4
F  0.000  0.265  0.904 x4
F  0.000  0.269  0.235 x4
F  0.200  0.500  0.078 x4
F  0.228  0.000  0.911 x4
F  0.233  0.000  0.238 x4
F  0.236  0.500  0.407 x4
F  0.236  0.500  0.744 x4
F  0.238  0.000  0.574 x4

***

Q | Here is Mn6OF11 after structural relaxation from the Materials Project database. Energies are from GGA+U.

## Properties
Calculated volume ... 482.1 Å³/cell
Magnetic moment ... 58.008 Bohr magnetons per cell

a = 9.675 Å, b = 6.867 Å, c = 7.786 Å
α = 90.00°, β = 111.25°, γ = 90.00°
Space group C2 (No. 5)
Unique sites:
Mn  0.000  0.000  0.000 x2
Mn  0.000  0.027  0.500 x2
Mn  0.157  0.536  0.158 x4
Mn  0.167  0.531  0.668 x4
O  0.000  0.725  0.000 x2
F  0.000  0.308  0.000 x2
F  0.065  0.528  0.371 x4
F  0.099  0.024  0.293 x4
F  0.167  0.224  0.666 x4
F  0.175  0.838  0.673 x4
F  0.227  0.022  0.033 x4

***

How far above the most stable structure does each one sit? In meV/atom: P 69; Q 0.